# 1
Na2Ca5N4 (PBE-GGA, optimized geometry); calculated formation energy = -621 meV/atom; space-group type = No. 130; E = -4.673 eV per atom
1.0
7.9089 0.0000 0.0000
0.0000 7.9089 0.0000
0.0000 0.0000 14.9650
Na Ca N
8 20 16
Direct
0.0939 0.5939 0.2500
0.0939 0.9061 0.7500
0.4061 0.5939 0.7500
0.4061 0.9061 0.2500
0.5939 0.0939 0.7500
0.5939 0.4061 0.2500
0.9061 0.0939 0.2500
0.9061 0.4061 0.7500
0.0773 0.6338 0.5739
0.0773 0.8662 0.0739
0.1338 0.5773 0.9261
0.1338 0.9227 0.4261
0.2500 0.2500 0.1074
0.2500 0.2500 0.6074
0.3662 0.5773 0.4261
0.3662 0.9227 0.9261
0.4227 0.6338 0.0739
0.4227 0.8662 0.5739
0.5773 0.1338 0.4261
0.5773 0.3662 0.9261
0.6338 0.0773 0.0739
0.6338 0.4227 0.5739
0.7500 0.7500 0.3926
0.7500 0.7500 0.8926
0.8662 0.0773 0.5739
0.8662 0.4227 0.0739
0.9227 0.1338 0.9261
0.9227 0.3662 0.4261
0.0532 0.6348 0.4079
0.0532 0.8652 0.9079
0.1348 0.5532 0.0921
0.1348 0.9468 0.5921
0.3651 0.5532 0.5921
0.3651 0.9468 0.0921
0.4468 0.6348 0.9079
0.4468 0.8652 0.4079
0.5532 0.1348 0.5921
0.5532 0.3651 0.0921
0.6348 0.0532 0.9079
0.6348 0.4468 0.4079
0.8652 0.0532 0.4079
0.8652 0.4468 0.9079
0.9468 0.1348 0.0921
0.9468 0.3651 0.5921

=====

# 2
Gd2Si2O7 (PBE-GGA, optimized geometry); calculated formation energy = -3600 meV/atom; space-group type = No. 14; E = -9.857 eV per atom
1.0
6.6230 0.0000 0.0000
0.0000 6.7485 0.0000
-3.9664 0.0000 12.0949
Gd Si O
8 8 28
Direct
0.0279 0.1112 0.3629
0.0279 0.3888 0.8629
0.3424 0.1701 0.1513
0.3424 0.3299 0.6513
0.6576 0.6701 0.3487
0.6576 0.8299 0.8487
0.9721 0.6112 0.1371
0.9721 0.8888 0.6371
0.2115 0.5817 0.3886
0.2115 0.9183 0.8886
0.3965 0.6713 0.0855
0.3965 0.8287 0.5855
0.6035 0.1713 0.4145
0.6035 0.3287 0.9145
0.7885 0.0817 0.1114
0.7885 0.4183 0.6114
0.0021 0.7237 0.3318
0.0021 0.7763 0.8318
0.1636 0.1050 0.9574
0.1636 0.3950 0.4574
0.2248 0.0151 0.5497
0.2248 0.4849 0.0497
0.2834 0.6693 0.6460
0.2834 0.8307 0.1460
0.3014 0.5187 0.2876
0.3014 0.9813 0.7876
0.3718 0.0949 0.3387
0.3718 0.4051 0.8387
0.4076 0.7222 0.4685
0.4076 0.7778 0.9685
0.5924 0.2222 0.0315
0.5924 0.2778 0.5315
0.6282 0.5949 0.1613
0.6282 0.9051 0.6613
0.6986 0.0187 0.2124
0.6986 0.4813 0.7124
0.7166 0.1693 0.8540
0.7166 0.3307 0.3540
0.7752 0.5151 0.9503
0.7752 0.9849 0.4503
0.8364 0.6050 0.5426
0.8364 0.8950 0.0426
0.9979 0.2237 0.1682
0.9979 0.2763 0.6682

=====

# 3
ScRu (PBE-GGA, optimized geometry); calculated formation energy = -543 meV/atom; space-group type = No. 221; E = -8.347 eV per atom
1.0
3.2148 0.0000 0.0000
0.0000 3.2148 0.0000
0.0000 0.0000 3.2148
Sc Ru
1 1
Direct
0.0000 0.0000 0.0000
0.5000 0.5000 0.5000

=====

# 4
Ba3SrSn12 (PBE-GGA, optimized geometry); calculated formation energy = -413 meV/atom; space-group type = No. 25; E = -3.886 eV per atom
1.0
5.3410 0.0000 0.0000
0.0000 7.3541 0.0000
0.0000 0.0000 12.9805
Ba Sr Sn
3 1 12
Direct
0.0000 0.0000 0.0000
0.0000 0.5000 0.4991
0.5000 0.5000 0.8338
0.5000 0.0000 0.3331
0.0000 0.0000 0.5206
0.0000 0.2125 0.7365
0.0000 0.2820 0.2391
0.0000 0.5000 0.0253
0.0000 0.7180 0.2391
0.0000 0.7875 0.7365
0.5000 0.0000 0.8088
0.5000 0.2122 0.5942
0.5000 0.2858 0.0970
0.5000 0.5000 0.3097
0.5000 0.7142 0.0970
0.5000 0.7878 0.5942

=====

# 5
Te2MoWS2 (PBE-GGA, optimized geometry); calculated formation energy = -597 meV/atom; E above lowest polymorph = 36 meV per atom; space-group type = No. 156; E = -6.824 eV per atom
1.0
3.3586 0.0000 0.0000
-1.6793 2.9087 0.0000
0.0000 0.0000 38.2893
Te Mo W S
4 2 2 4
Direct
0.0000 0.0000 0.0000
0.0000 0.0000 0.0993
0.3333 0.6667 0.4366
0.3333 0.6667 0.5354
0.0000 0.0000 0.4860
0.3333 0.6667 0.6739
0.0000 0.0000 0.8618
0.3333 0.6667 0.0497
0.0000 0.0000 0.6344
0.0000 0.0000 0.7134
0.3333 0.6667 0.8221
0.3333 0.6667 0.9014

=====

# 6
MgGeRh2 (PBE-GGA, optimized geometry); calculated formation energy = -617 meV/atom; space-group type = No. 225; E = -5.855 eV per atom
1.0
0.0000 3.0627 3.0627
3.0627 0.0000 3.0627
3.0627 3.0627 0.0000
Mg Ge Rh
1 1 2
Direct
0.0000 0.0000 0.0000
0.5000 0.5000 0.5000
0.2500 0.2500 0.2500
0.7500 0.7500 0.7500

=====

# 7
MnCd4N4 (PBE-GGA, optimized geometry); calculated formation energy = 209 meV/atom; space-group type = No. 2; E = -4.764 eV per atom
1.0
6.2539 0.0000 0.0000
2.8665 5.5884 0.0000
2.6754 1.6691 8.1049
Mn Cd N
2 8 8
Direct
0.1946 0.1933 0.2270
0.8054 0.8067 0.7730
0.1722 0.6473 0.3793
0.2407 0.7571 0.0015
0.3255 0.3272 0.7908
0.3520 0.8294 0.6214
0.6480 0.1706 0.3786
0.6745 0.6728 0.2092
0.7593 0.2429 0.9985
0.8278 0.3527 0.6207
0.0132 0.5858 0.6588
0.0340 0.0361 0.1940
0.3328 0.3319 0.0467
0.4169 0.9824 0.3411
0.5831 0.0176 0.6589
0.6672 0.6681 0.9533
0.9660 0.9639 0.8060
0.9868 0.4142 0.3412

=====

# 8
Zr5ZnSn3 (PBE-GGA, optimized geometry); calculated formation energy = -583 meV/atom; space-group type = No. 193; E = -6.809 eV per atom
1.0
8.7211 0.0000 0.0000
-4.3606 7.5527 0.0000
0.0000 0.0000 5.9047
Zr Zn Sn
10 2 6
Direct
0.0000 0.2686 0.2500
0.0000 0.7314 0.7500
0.2686 0.0000 0.2500
0.2686 0.2686 0.7500
0.3333 0.6667 0.0000
0.3333 0.6667 0.5000
0.6667 0.3333 0.0000
0.6667 0.3333 0.5000
0.7314 0.0000 0.7500
0.7314 0.7314 0.2500
0.0000 0.0000 0.0000
0.0000 0.0000 0.5000
0.0000 0.3840 0.7500
0.0000 0.6160 0.2500
0.3840 0.0000 0.7500
0.3840 0.3840 0.2500
0.6160 0.0000 0.2500
0.6160 0.6160 0.7500

=====

# 9
Ca2La3Si3O13 (PBE-GGA, optimized geometry); calculated formation energy = -3548 meV/atom; space-group type = No. 176; E = -7.857 eV per atom
1.0
9.7479 0.0000 0.0000
-4.8740 8.4420 0.0000
0.0000 0.0000 7.1360
Ca La Si O
4 6 6 26
Direct
0.3333 0.6667 0.0034
0.3333 0.6667 0.4966
0.6667 0.3333 0.5034
0.6667 0.3333 0.9966
0.0117 0.7599 0.2500
0.2401 0.2517 0.2500
0.2517 0.0117 0.7500
0.7483 0.9883 0.2500
0.7599 0.7483 0.7500
0.9883 0.2401 0.7500
0.0303 0.6280 0.7500
0.3720 0.4023 0.7500
0.4023 0.0303 0.2500
0.5977 0.9697 0.7500
0.6280 0.5977 0.2500
0.9697 0.3720 0.2500
0.0000 0.0000 0.2500
0.0000 0.0000 0.7500
0.0894 0.7501 0.5683
0.0894 0.7501 0.9317
0.1290 0.5321 0.7500
0.1617 0.4878 0.2500
0.2499 0.3393 0.5683
0.2499 0.3393 0.9317
0.3261 0.8383 0.2500
0.3393 0.0894 0.0683
0.3393 0.0894 0.4317
0.4031 0.8710 0.7500
0.4679 0.5969 0.7500
0.4878 0.3261 0.7500
0.5122 0.6739 0.2500
0.5321 0.4031 0.2500
0.5969 0.1290 0.2500
0.6607 0.9106 0.5683
0.6607 0.9106 0.9317
0.6739 0.1617 0.7500
0.7501 0.6607 0.0683
0.7501 0.6607 0.4317
0.8383 0.5122 0.7500
0.8710 0.4679 0.2500
0.9106 0.2499 0.0683
0.9106 0.2499 0.4317

=====

# 10
KB5O8 (PBE-GGA, optimized geometry); calculated formation energy = -2531 meV/atom; E above lowest polymorph = 313 meV per atom; space-group type = No. 61; E = -7.430 eV per atom
1.0
8.1817 0.0000 0.0000
0.0000 12.4787 0.0000
0.0000 0.0000 17.1986
K B O
8 40 64
Direct
0.0982 0.1414 0.1757
0.0982 0.3586 0.6757
0.4018 0.6414 0.1757
0.4018 0.8586 0.6757
0.5982 0.1414 0.3243
0.5982 0.3586 0.8243
0.9018 0.6414 0.3243
0.9018 0.8586 0.8243
0.0346 0.0690 0.4455
0.0346 0.4310 0.9455
0.0608 0.2232 0.9813
0.0608 0.2768 0.4813
0.2086 0.6397 0.5109
0.2086 0.8603 0.0109
0.2219 0.2289 0.8107
0.2219 0.2711 0.3107
0.2320 0.5532 0.0087
0.2320 0.9468 0.5087
0.2680 0.0532 0.0087
0.2680 0.4468 0.5087
0.2781 0.7289 0.8107
0.2781 0.7711 0.3107
0.2914 0.1397 0.5109
0.2914 0.3603 0.0109
0.4392 0.7232 0.9813
0.4392 0.7768 0.4813
0.4654 0.5690 0.4455
0.4654 0.9310 0.9455
0.5346 0.0690 0.0545
0.5346 0.4310 0.5545
0.5608 0.2232 0.5187
0.5608 0.2768 0.0187
0.7086 0.6397 0.9891
0.7086 0.8603 0.4891
0.7219 0.2289 0.6893
0.7219 0.2711 0.1893
0.7320 0.5532 0.4913
0.7320 0.9468 0.9913
0.7680 0.0532 0.4913
0.7680 0.4468 0.9913
0.7781 0.7289 0.6893
0.7781 0.7711 0.1893
0.7914 0.1397 0.9891
0.7914 0.3603 0.4891
0.9392 0.7232 0.5187
0.9392 0.7768 0.0187
0.9654 0.5690 0.0545
0.9654 0.9310 0.5545
0.1057 0.7238 0.5218
0.1057 0.7762 0.0218
0.1209 0.5228 0.9436
0.1209 0.9772 0.4436
0.1223 0.5832 0.0762
0.1223 0.9168 0.5762
0.1237 0.1786 0.7671
0.1237 0.3214 0.2671
0.1260 0.1647 0.4814
0.1260 0.3353 0.9814
0.1562 0.1400 0.9903
0.1562 0.3600 0.4903
0.1707 0.5401 0.5299
0.1707 0.9599 0.0299
0.1890 0.7096 0.3515
0.1890 0.7904 0.8515
0.3110 0.2096 0.3515
0.3110 0.2904 0.8515
0.3293 0.0401 0.5299
0.3293 0.4599 0.0299
0.3438 0.6400 0.9903
0.3438 0.8600 0.4903
0.3740 0.6647 0.4814
0.3740 0.8353 0.9814
0.3763 0.6786 0.7671
0.3763 0.8214 0.2671
0.3777 0.0832 0.0762
0.3777 0.4168 0.5762
0.3791 0.0228 0.9436
0.3791 0.4772 0.4436
0.3943 0.2238 0.5218
0.3943 0.2762 0.0218
0.6057 0.7238 0.9782
0.6057 0.7762 0.4782
0.6209 0.5228 0.5564
0.6209 0.9772 0.0564
0.6223 0.5832 0.4238
0.6223 0.9168 0.9238
0.6237 0.1786 0.7329
0.6237 0.3214 0.2329
0.6260 0.1647 0.0186
0.6260 0.3353 0.5186
0.6562 0.1400 0.5097
0.6562 0.3600 0.0097
0.6707 0.5401 0.9701
0.6707 0.9599 0.4701
0.6890 0.7096 0.1485
0.6890 0.7904 0.6485
0.8110 0.2096 0.1485
0.8110 0.2904 0.6485
0.8293 0.0401 0.9701
0.8293 0.4599 0.4701
0.8438 0.6400 0.5097
0.8438 0.8600 0.0097
0.8740 0.6647 0.0186
0.8740 0.8353 0.5186
0.8763 0.6786 0.7329
0.8763 0.8214 0.2329
0.8777 0.0832 0.4238
0.8777 0.4168 0.9238
0.8791 0.0228 0.5564
0.8791 0.4772 0.0564
0.8943 0.2238 0.9782
0.8943 0.2762 0.4782

=====

# 11
Sr4CaSi3 (PBE-GGA, optimized geometry); calculated formation energy = -392 meV/atom; space-group type = No. 140; E = -3.549 eV per atom
1.0
-3.9682 3.9682 7.9892
3.9682 -3.9682 7.9892
3.9682 3.9682 -7.9892
Sr Ca Si
8 2 6
Direct
0.0405 0.5405 0.8608
0.1798 0.0405 0.5000
0.3202 0.8202 0.8608
0.4595 0.3202 0.5000
0.5405 0.6798 0.5000
0.6798 0.1798 0.1392
0.8202 0.9595 0.5000
0.9595 0.4595 0.1392
0.0000 0.0000 0.0000
0.5000 0.5000 0.0000
0.1106 0.3894 0.5000
0.2500 0.2500 0.0000
0.3894 0.8894 0.2788
0.6106 0.1106 0.7212
0.7500 0.7500 0.0000
0.8894 0.6106 0.5000